{
  "formula": "RbW6O18",
  "functional": "GGA+U",
  "state": "optimized geometry",
  "magnetic_moment_mub_per_cell": 0.006,
  "e_tot_ry_per_atom": -0.5426,
  "delta_e_f_mev_per_atom": -2230,
  "sg": "Pnnm",
  "lattice_angstrom": [[-5.074, 1.338, -5.384], [0.156, -7.465, -2.003], [-9.606, -2.466, 8.440]],
  "species": ["Rb", "Rb", "W", "W", "W", "W", "W", "W", "W", "W", "W", "W", "W", "W", "O", "O", "O", "O", "O", "O", "O", "O", "O", "O", "O", "O", "O", "O", "O", "O", "O", "O", "O", "O", "O", "O", "O", "O", "O", "O", "O", "O", "O", "O", "O", "O", "O", "O", "O", "O"],
  "fractional_positions": [[0.000, 0.000, 0.000], [0.500, 0.500, 0.500], [0.753, 0.252, 0.247], [0.253, 0.248, 0.253], [0.253, 0.248, 0.747], [0.247, 0.748, 0.247], [0.007, 0.750, 0.500], [0.993, 0.250, 0.500], [0.753, 0.252, 0.753], [0.747, 0.752, 0.747], [0.747, 0.752, 0.253], [0.507, 0.750, 0.000], [0.493, 0.250, 0.000], [0.247, 0.748, 0.753], [0.750, 0.001, 0.250], [0.683, 0.752, 0.107], [0.681, 0.248, 0.105], [0.501, 0.252, 0.288], [0.499, 0.748, 0.288], [0.319, 0.752, 0.105], [0.317, 0.248, 0.107], [0.250, 0.999, 0.750], [0.250, 0.499, 0.250], [0.250, 0.999, 0.250], [0.183, 0.748, 0.607], [0.183, 0.748, 0.393], [0.181, 0.252, 0.395], [0.181, 0.252, 0.605], [0.001, 0.248, 0.788], [0.001, 0.248, 0.212], [0.000, 0.000, 0.500], [0.000, 0.500, 0.500], [0.999, 0.752, 0.788], [0.999, 0.752, 0.212], [0.819, 0.748, 0.605], [0.819, 0.748, 0.395], [0.817, 0.252, 0.393], [0.817, 0.252, 0.607], [0.750, 0.001, 0.750], [0.750, 0.501, 0.750], [0.750, 0.501, 0.250], [0.683, 0.752, 0.893], [0.681, 0.248, 0.895], [0.501, 0.252, 0.712], [0.500, 0.000, 0.000], [0.500, 0.500, 0.000], [0.499, 0.748, 0.712], [0.319, 0.752, 0.895], [0.317, 0.248, 0.893], [0.250, 0.499, 0.750]]
}

***

{
  "formula": "VReO4",
  "functional": "GGA+U",
  "state": "optimized geometry",
  "magnetic_moment_mub_per_cell": 1.708,
  "e_tot_ry_per_atom": -0.6108,
  "delta_e_f_mev_per_atom": -2165,
  "relative_energy_ev_per_fu": 0.44,
  "sg": "Cm",
  "lattice_angstrom": [[-1.049, 3.520, -3.057], [3.630, -3.794, -5.367], [-6.915, -2.849, -0.661]],
  "species": ["V", "V", "V", "V", "Re", "Re", "Re", "Re", "O", "O", "O", "O", "O", "O", "O", "O", "O", "O", "O", "O", "O", "O", "O", "O"],
  "fractional_positions": [[0.500, 0.625, 0.873], [0.500, 0.373, 0.125], [0.499, 0.873, 0.626], [0.499, 0.126, 0.373], [0.999, 0.750, 0.250], [0.001, 0.000, 0.999], [0.001, 0.499, 0.500], [0.999, 0.250, 0.751], [0.207, 0.021, 0.771], [0.207, 0.271, 0.521], [0.207, 0.772, 0.021], [0.207, 0.521, 0.272], [0.793, 0.729, 0.478], [0.794, 0.978, 0.229], [0.792, 0.479, 0.728], [0.792, 0.228, 0.979], [0.289, 0.894, 0.394], [0.287, 0.145, 0.143], [0.287, 0.643, 0.645], [0.290, 0.396, 0.896], [0.712, 0.106, 0.606], [0.713, 0.358, 0.355], [0.713, 0.855, 0.858], [0.712, 0.606, 0.106]]
}

***

{
  "formula": "VReO4",
  "functional": "GGA+U",
  "state": "optimized geometry",
  "e_tot_ry_per_atom": -0.6153,
  "delta_e_f_mev_per_atom": -2227,
  "relative_energy_ev_per_fu": 0.07,
  "sg": "Cmcm",
  "lattice_angstrom": [[-4.314, 2.526, -2.728], [-2.779, -6.189, -1.335], [-5.593, 1.572, 4.356]],
  "species": ["V", "V", "V", "V", "Re", "Re", "Re", "Re", "O", "O", "O", "O", "O", "O", "O", "O", "O", "O", "O", "O", "O", "O", "O", "O"],
  "fractional_positions": [[0.004, 0.000, 0.492], [0.746, 0.500, 0.008], [0.254, 0.500, 0.993], [0.496, 0.000, 0.507], [0.777, 0.500, 0.500], [0.527, 0.000, 0.000], [0.223, 0.500, 0.500], [0.973, 0.000, 0.000], [0.250, 0.810, 0.999], [0.001, 0.279, 0.498], [0.749, 0.779, 0.002], [0.500, 0.310, 0.501], [0.250, 0.190, 0.999], [0.001, 0.721, 0.498], [0.749, 0.221, 0.002], [0.500, 0.690, 0.501], [0.613, 0.500, 0.788], [0.366, 0.000, 0.288], [0.099, 0.500, 0.788], [0.846, 0.000, 0.288], [0.384, 0.500, 0.212], [0.137, 0.000, 0.712], [0.904, 0.500, 0.212], [0.651, 0.000, 0.712]]
}

***

{
  "formula": "V2Re2O11",
  "functional": "GGA+U",
  "state": "optimized geometry",
  "magnetic_moment_mub_per_cell": 4.000,
  "e_tot_ry_per_atom": -0.5741,
  "delta_e_f_mev_per_atom": -2042,
  "relative_energy_ev_per_fu": 1.33,
  "sg": "P1",
  "lattice_angstrom": [[6.364, 0.000, 0.000], [-2.956, -7.224, 0.000], [-0.332, 0.005, -9.994]],
  "species": ["V", "V", "V", "V", "Re", "Re", "Re", "Re", "O", "O", "O", "O", "O", "O", "O", "O", "O", "O", "O", "O", "O", "O", "O", "O", "O", "O", "O", "O", "O", "O"],
  "fractional_positions": [[0.226, 0.376, 0.225], [0.633, 0.264, 0.559], [0.429, 0.791, 0.079], [0.813, 0.634, 0.711], [0.014, 0.019, 0.513], [0.731, 0.472, 0.145], [0.013, 0.981, 0.023], [0.252, 0.508, 0.647], [0.474, 0.892, 0.222], [0.133, 0.256, 0.639], [0.307, 0.116, 0.467], [0.088, 0.104, 0.178], [0.210, 0.441, 0.378], [0.815, 0.122, 0.463], [0.872, 0.723, 0.133], [0.290, 0.568, 0.814], [0.790, 0.573, 0.869], [0.550, 0.291, 0.045], [0.204, 0.866, 0.981], [0.586, 0.144, 0.694], [0.931, 0.480, 0.613], [0.988, 0.427, 0.132], [0.711, 0.912, 0.982], [0.441, 0.554, 0.121], [0.543, 0.480, 0.613], [0.346, 0.720, 0.562], [0.652, 0.408, 0.310], [0.953, 0.894, 0.672], [0.106, 0.158, 0.911], [0.919, 0.827, 0.410]]
}